The following is a PBE calculation of crystalline Na2La4Ti4Si3S9O48 at its relaxed geometry, from the Materials Project.

Calculated values
The value obtained for the energy with MP2020 corrections is -7.57 eV/atom. As for the total energy: -7.099 eV/atom. The calculation puts the formation energy at -2641 meV/atom.

abc: 9.1320 15.7907 23.8354
angles: 90.45 90.39 90.11
Space group P1 (No. 1)
Symmetry-distinct sites (fractional):
Na (0.0000, 0.0000, 0.0000) x1
Na (0.9996, 0.0133, 0.5112) x1
Na (0.0271, 0.6772, 0.3361) x1
Na (0.4837, 0.1779, 0.8328) x1
Na (0.5070, 0.5124, 0.0108) x1
Na (0.5130, 0.5000, 0.5038) x1
La (0.0000, 0.0264, 0.3541) x1
La (0.0018, 0.3551, 0.5347) x1
La (0.0018, 0.6890, 0.4879) x1
La (0.0123, 0.6820, 0.1896) x1
La (0.0158, 0.0030, 0.8510) x1
La (0.4966, 0.5043, 0.3518) x1
La (0.4975, 0.1846, 0.6889) x1
La (0.5090, 0.5277, 0.8513) x1
La (0.5100, 0.1897, 0.9857) x1
La (0.5150, 0.8547, 0.0313) x1
La (0.5216, 0.8452, 0.5357) x1
La (0.9919, 0.3435, 0.0350) x1
Ti (0.0058, 0.0254, 0.1623) x1
Ti (0.0150, 0.0208, 0.6515) x1
Ti (0.0176, 0.3454, 0.8064) x1
Ti (0.4974, 0.5160, 0.1560) x1
Ti (0.4994, 0.5173, 0.6540) x1
Ti (0.5008, 0.8470, 0.3120) x1
Ti (0.5057, 0.1998, 0.4811) x1
Ti (0.5210, 0.1908, 0.1889) x1
Ti (0.5408, 0.8410, 0.8121) x1
Ti (0.9737, 0.3414, 0.3193) x1
Ti (0.9899, 0.6901, 0.6899) x1
Ti (0.9984, 0.6879, 0.9762) x1
Si (0.1448, 0.1629, 0.7547) x1
Si (0.3714, 0.6656, 0.2548) x1
Si (0.3863, 0.3396, 0.5855) x1
Si (0.6323, 0.3371, 0.0939) x1
Si (0.6556, 0.6623, 0.7487) x1
Si (0.7115, 0.3438, 0.4234) x1
Si (0.7973, 0.8434, 0.9209) x1
Si (0.8529, 0.1686, 0.2527) x1
Si (0.8811, 0.8364, 0.5945) x1
S (0.1254, 0.8346, 0.0808) x1
S (0.1345, 0.4930, 0.4137) x1
S (0.1618, 0.8618, 0.7455) x1
S (0.1676, 0.2099, 0.4212) x1
S (0.1789, 0.5418, 0.0835) x1
S (0.2022, 0.5134, 0.7476) x1
S (0.2152, 0.1661, 0.0960) x1
S (0.2277, 0.8444, 0.4130) x1
S (0.2841, 0.3463, 0.9132) x1
S (0.2945, 0.6691, 0.5958) x1
S (0.3070, 0.0144, 0.2485) x1
S (0.3332, 0.0407, 0.5839) x1
S (0.3404, 0.7061, 0.9227) x1
S (0.3525, 0.3617, 0.2452) x1
S (0.3750, 0.9926, 0.9146) x1
S (0.6362, 0.9976, 0.4206) x1
S (0.6530, 0.7100, 0.4125) x1
S (0.6740, 0.0429, 0.0979) x1
S (0.6736, 0.3715, 0.7560) x1
S (0.7075, 0.0045, 0.7535) x1
S (0.7155, 0.6661, 0.0828) x1
S (0.7978, 0.1651, 0.5849) x1
S (0.8033, 0.5035, 0.2539) x1
S (0.8403, 0.5447, 0.5974) x1
S (0.8402, 0.8734, 0.2543) x1
S (0.8598, 0.2090, 0.9118) x1
S (0.8716, 0.5011, 0.9229) x1
O (0.0503, 0.9179, 0.0848) x1
O (0.0628, 0.2602, 0.7632) x1
O (0.0626, 0.5775, 0.4096) x1
O (0.0638, 0.7841, 0.0320) x1
O (0.0742, 0.1092, 0.6993) x1
O (0.0808, 0.8844, 0.7969) x1
O (0.0888, 0.4396, 0.3640) x1
O (0.0972, 0.4535, 0.4670) x1
O (0.1005, 0.2477, 0.4706) x1
O (0.1015, 0.5814, 0.7323) x1
O (0.1042, 0.7877, 0.1332) x1
O (0.1067, 0.7746, 0.7306) x1
O (0.1078, 0.1144, 0.8109) x1
O (0.1145, 0.5742, 0.1359) x1
O (0.1162, 0.1201, 0.4169) x1
O (0.1155, 0.4339, 0.7591) x1
O (0.1174, 0.0887, 0.1063) x1
O (0.1203, 0.2406, 0.0938) x1
O (0.1253, 0.9253, 0.7010) x1
O (0.1267, 0.4543, 0.0751) x1
O (0.1299, 0.2561, 0.3686) x1
O (0.1318, 0.9194, 0.4107) x1
O (0.1385, 0.7656, 0.4089) x1
O (0.1467, 0.5956, 0.0353) x1
O (0.1669, 0.0368, 0.5920) x1
O (0.1752, 0.7019, 0.9317) x1
O (0.1837, 0.3476, 0.8626) x1
O (0.1908, 0.6748, 0.6417) x1
O (0.1912, 0.9963, 0.2017) x1
O (0.1955, 0.3587, 0.2520) x1
O (0.1999, 0.3476, 0.9655) x1
O (0.2009, 0.6886, 0.2475) x1
O (0.2138, 0.0046, 0.9166) x1
O (0.2198, 0.6544, 0.5409) x1
O (0.2216, 0.3603, 0.5701) x1
O (0.2246, 0.0369, 0.2991) x1
O (0.2829, 0.8473, 0.0737) x1
O (0.2839, 0.5355, 0.7992) x1
O (0.2873, 0.1498, 0.0415) x1
O (0.2958, 0.5049, 0.4141) x1
O (0.3090, 0.4932, 0.7014) x1
O (0.3127, 0.8455, 0.4651) x1
O (0.3159, 0.1841, 0.7524) x1
O (0.3202, 0.8575, 0.7550) x1
O (0.3213, 0.1733, 0.1419) x1
O (0.3280, 0.8460, 0.3623) x1
O (0.3313, 0.2064, 0.4283) x1
O (0.3440, 0.5366, 0.0924) x1
O (0.3638, 0.0952, 0.5361) x1
O (0.3704, 0.7521, 0.8706) x1
O (0.3728, 0.2668, 0.9100) x1
O (0.3784, 0.9523, 0.5739) x1
O (0.3821, 0.4207, 0.9118) x1
O (0.3891, 0.7442, 0.5931) x1
O (0.3900, 0.9343, 0.2571) x1
O (0.3910, 0.5922, 0.6038) x1
O (0.3919, 0.4270, 0.2006) x1
O (0.3922, 0.6168, 0.9198) x1
O (0.3961, 0.6143, 0.3108) x1
O (0.3992, 0.0692, 0.6368) x1
O (0.4038, 0.0827, 0.2313) x1
O (0.4055, 0.7460, 0.9726) x1
O (0.4070, 0.2835, 0.6396) x1
O (0.4077, 0.2753, 0.2292) x1
O (0.4139, 0.9527, 0.9685) x1
O (0.4194, 0.9407, 0.8656) x1
O (0.4351, 0.3841, 0.2963) x1
O (0.4429, 0.6097, 0.2005) x1
O (0.4469, 0.0778, 0.9123) x1
O (0.4522, 0.7625, 0.2669) x1
O (0.4593, 0.2829, 0.5298) x1
O (0.4694, 0.4322, 0.5992) x1
O (0.5595, 0.3037, 0.0350) x1
O (0.5621, 0.4295, 0.1109) x1
O (0.5630, 0.0792, 0.4283) x1
O (0.5659, 0.6062, 0.7004) x1
O (0.5753, 0.7551, 0.7649) x1
O (0.5803, 0.2674, 0.1412) x1
O (0.5832, 0.9529, 0.3686) x1
O (0.5897, 0.6244, 0.4100) x1
O (0.5966, 0.4197, 0.4176) x1
O (0.6011, 0.0733, 0.7473) x1
O (0.6015, 0.7642, 0.3642) x1
O (0.6028, 0.4063, 0.8068) x1
O (0.6066, 0.0935, 0.1428) x1
O (0.6068, 0.9592, 0.0976) x1
O (0.6090, 0.7483, 0.4662) x1
O (0.6134, 0.7370, 0.0762) x1
O (0.6132, 0.9430, 0.4704) x1
O (0.6194, 0.2529, 0.4327) x1
O (0.6188, 0.9232, 0.7609) x1
O (0.6286, 0.5859, 0.0879) x1
O (0.6298, 0.2818, 0.7510) x1
O (0.6399, 0.4217, 0.7060) x1
O (0.6522, 0.6104, 0.8059) x1
O (0.6606, 0.0864, 0.0431) x1
O (0.6780, 0.8742, 0.2626) x1
O (0.6795, 0.5367, 0.6057) x1
O (0.6863, 0.1856, 0.2312) x1
O (0.6896, 0.8328, 0.8626) x1
O (0.6958, 0.2041, 0.9100) x1
O (0.6959, 0.8523, 0.9744) x1
O (0.6979, 0.1554, 0.5358) x1
O (0.7035, 0.4937, 0.2046) x1
O (0.7064, 0.8422, 0.5936) x1
O (0.7107, 0.5169, 0.9199) x1
O (0.7194, 0.1768, 0.6375) x1
O (0.7223, 0.5214, 0.3056) x1
O (0.7883, 0.0195, 0.8062) x1
O (0.7976, 0.6801, 0.1353) x1
O (0.8002, 0.0095, 0.4172) x1
O (0.8046, 0.9942, 0.7051) x1
O (0.8070, 0.3423, 0.0930) x1
O (0.8151, 0.3574, 0.4757) x1
O (0.8154, 0.7061, 0.4093) x1
O (0.8172, 0.6589, 0.0340) x1
O (0.8221, 0.3331, 0.3648) x1
O (0.8245, 0.6840, 0.7309) x1
O (0.8361, 0.0320, 0.1089) x1
O (0.8374, 0.3731, 0.7663) x1
O (0.8582, 0.1081, 0.3052) x1
O (0.8586, 0.5877, 0.5424) x1
O (0.8786, 0.9275, 0.2050) x1
O (0.8869, 0.7852, 0.2455) x1
O (0.8876, 0.0841, 0.5903) x1
O (0.8910, 0.4241, 0.2619) x1
O (0.8927, 0.7529, 0.9329) x1
O (0.8983, 0.4478, 0.9728) x1
O (0.9019, 0.2351, 0.5782) x1
O (0.9036, 0.2477, 0.9665) x1
O (0.9062, 0.4606, 0.5981) x1
O (0.9071, 0.5743, 0.2459) x1
O (0.9094, 0.5949, 0.6425) x1
O (0.9096, 0.2629, 0.8644) x1
O (0.9141, 0.9049, 0.3054) x1
O (0.9136, 0.9190, 0.9190) x1
O (0.9218, 0.1230, 0.9107) x1
O (0.9305, 0.4652, 0.8716) x1
O (0.9326, 0.7673, 0.6418) x1
O (0.9382, 0.2575, 0.2680) x1
O (0.9455, 0.1125, 0.2022) x1
O (0.9470, 0.5858, 0.9347) x1
O (0.9508, 0.8038, 0.5352) x1
O (0.9515, 0.9289, 0.6112) x1